No. 1
Rb2Sb8O13 | PBE | relaxed

extended XYZ file:
```
92
Lattice="7.697 0.000 0.000 0.000 17.347 0.000 -0.037 0.000 14.362" Properties=species:S:1:pos:R:3 pbc="T T T"
Rb 0.164 4.337 6.700
Rb 0.340 13.010 0.454
Rb 3.526 13.010 9.766
Rb 3.583 4.337 11.590
Rb 4.077 13.010 2.772
Rb 4.134 4.337 4.595
Rb 7.320 4.337 13.908
Rb 7.496 13.010 7.662
Sb 0.022 2.389 10.248
Sb 0.022 6.284 10.248
Sb 0.118 1.988 3.016
Sb 0.118 6.686 3.016
Sb 1.267 1.024 13.182
Sb 1.267 7.650 13.182
Sb 1.798 9.538 8.433
Sb 1.798 16.482 8.433
Sb 2.083 9.730 1.757
Sb 2.083 16.290 1.757
Sb 2.533 0.923 5.254
Sb 2.533 7.750 5.254
Sb 3.680 2.395 1.080
Sb 3.680 6.278 1.080
Sb 3.723 2.362 8.121
Sb 3.723 6.311 8.121
Sb 3.937 11.035 6.241
Sb 3.937 14.985 6.241
Sb 3.980 11.068 13.281
Sb 3.980 14.952 13.281
Sb 5.127 9.597 9.108
Sb 5.127 16.423 9.108
Sb 5.577 1.057 12.605
Sb 5.577 7.616 12.605
Sb 5.862 0.865 5.929
Sb 5.862 7.809 5.929
Sb 6.393 9.697 1.180
Sb 6.393 16.323 1.180
Sb 7.542 10.661 11.346
Sb 7.542 15.359 11.346
Sb 7.638 11.063 4.113
Sb 7.638 14.957 4.113
O 0.094 17.340 2.825
O 0.094 8.679 2.825
O 0.116 4.337 9.793
O 0.555 10.056 0.493
O 0.555 15.963 0.493
O 0.596 10.792 9.495
O 0.596 15.228 9.495
O 1.217 2.541 11.848
O 1.217 6.132 11.848
O 1.647 11.182 3.068
O 1.647 14.838 3.068
O 1.825 2.354 0.368
O 1.825 6.320 0.368
O 1.987 2.147 3.673
O 1.987 6.526 3.673
O 2.202 11.113 7.252
O 2.202 14.906 7.252
O 2.548 2.512 6.488
O 2.548 6.161 6.488
O 3.183 11.118 0.746
O 3.183 14.902 0.746
O 3.256 9.858 9.760
O 3.256 16.162 9.760
O 3.664 4.337 8.477
O 3.806 13.010 12.854
O 3.830 0.000 7.181
O 3.830 8.673 7.181
O 3.854 4.337 1.508
O 3.996 13.010 5.885
O 4.404 1.184 4.601
O 4.404 7.489 4.601
O 4.477 2.444 13.616
O 4.477 6.229 13.616
O 5.112 11.185 7.873
O 5.112 14.834 7.873
O 5.458 2.440 7.110
O 5.458 6.233 7.110
O 5.673 10.820 10.688
O 5.673 15.200 10.688
O 5.835 11.027 13.994
O 5.835 14.993 13.994
O 6.013 2.509 11.294
O 6.013 6.165 11.294
O 6.443 11.215 2.513
O 6.443 14.805 2.513
O 7.064 2.118 4.866
O 7.064 6.555 4.866
O 7.105 1.383 13.869
O 7.105 7.290 13.869
O 7.544 13.010 4.569
O 7.566 0.006 11.537
O 7.566 8.667 11.537
```


No. 2
Rb4Sb2O5 | PBE | relaxed

extended XYZ file:
```
44
Lattice="19.478 0.000 0.000 0.000 6.732 0.000 0.000 0.000 8.268" Properties=species:S:1:pos:R:3 pbc="T T T"
Rb 0.229 1.683 1.033
Rb 0.241 1.683 5.167
Rb 3.058 5.049 1.034
Rb 3.073 5.049 5.167
Rb 6.666 1.683 1.033
Rb 6.681 1.683 5.168
Rb 9.499 5.049 1.033
Rb 9.511 5.049 5.167
Rb 9.968 1.683 3.100
Rb 9.980 1.683 7.234
Rb 12.797 5.049 3.100
Rb 12.813 5.049 7.235
Rb 16.405 1.683 3.101
Rb 16.420 1.683 7.234
Rb 19.238 5.049 3.100
Rb 19.250 5.049 7.234
Sb 3.213 1.683 3.178
Sb 3.213 1.683 7.157
Sb 6.526 5.049 3.023
Sb 6.527 5.049 7.312
Sb 12.952 1.683 0.956
Sb 12.952 1.683 5.245
Sb 16.266 5.049 1.111
Sb 16.266 5.049 5.090
O 1.952 0.199 3.102
O 1.952 0.199 7.233
O 1.952 3.166 3.102
O 1.952 3.166 7.233
O 3.742 1.683 5.168
O 5.997 5.049 1.034
O 7.787 3.565 3.099
O 7.787 3.565 7.236
O 7.787 6.532 3.099
O 7.787 6.532 7.236
O 11.692 0.199 1.032
O 11.691 0.199 5.169
O 11.692 3.166 1.032
O 11.691 3.166 5.169
O 13.481 1.683 7.234
O 15.736 5.049 3.100
O 17.526 3.565 1.035
O 17.526 3.565 5.166
O 17.526 6.532 1.035
O 17.526 6.532 5.166
```


No. 3
RbSbO3 | PBE | relaxed

extended XYZ file:
```
5
Lattice="4.091 0.000 0.000 0.000 4.091 0.000 0.000 0.000 4.091" Properties=species:S:1:pos:R:3 pbc="T T T"
Rb 0.000 0.000 0.000
Sb 2.045 2.045 2.045
O 0.000 2.045 2.045
O 2.045 0.000 2.045
O 2.045 2.045 0.000
```


No. 4
Rb4Sb2O5 | PBE | relaxed

extended XYZ file:
```
11
Lattice="6.726 0.000 0.000 0.000 2.000 9.837 0.000 -2.000 9.837" Properties=species:S:1:pos:R:3 pbc="T T T"
Rb 0.000 0.000 0.000
Rb 0.000 0.000 6.475
Rb 3.363 0.000 3.631
Rb 3.363 0.000 16.803
Sb 0.000 0.000 13.344
Sb 3.363 0.000 9.886
O 1.490 0.000 14.604
O 1.860 0.000 8.667
O 3.363 0.000 0.751
O 4.867 0.000 8.667
O 5.236 0.000 14.604
```


No. 5
Rb2Sb4O11 | PBE | relaxed

extended XYZ file:
```
34
Lattice="9.928 -3.854 0.000 9.928 3.854 0.000 -0.701 0.000 7.308" Properties=species:S:1:pos:R:3 pbc="T T T"
Rb -0.018 0.000 1.862
Rb 4.655 0.000 0.044
Rb 14.500 0.000 7.265
Rb 19.173 0.000 5.447
Sb 6.071 1.980 4.117
Sb 13.084 1.980 3.191
Sb 8.152 0.000 2.798
Sb 7.874 0.000 6.590
Sb 11.281 0.000 0.718
Sb 11.003 0.000 4.510
Sb 6.071 -1.980 4.117
Sb 13.084 -1.980 3.191
O 4.234 1.641 4.873
O 7.862 1.961 3.137
O 2.927 0.000 2.618
O 6.805 1.529 5.923
O 9.928 1.317 0.000
O 6.279 0.000 3.581
O 11.293 1.961 4.172
O 7.500 0.000 0.960
O 12.350 1.529 1.385
O 4.234 -1.641 4.873
O 9.006 0.000 4.781
O 10.148 0.000 2.527
O 14.921 1.641 2.435
O 6.805 -1.529 5.923
O 11.655 0.000 6.348
O 7.862 -1.961 3.137
O 12.876 0.000 3.727
O 9.928 -1.317 0.000
O 12.350 -1.529 1.385
O 16.228 0.000 4.690
O 11.293 -1.961 4.172
O 14.921 -1.641 2.435
```


No. 6
Rb12Sn2Sb6O | PBE | relaxed

extended XYZ file:
```
21
Lattice="12.568 0.000 0.000 -6.284 10.884 0.000 0.000 0.000 6.349" Properties=species:S:1:pos:R:3 pbc="T T T"
Rb -2.278 5.941 1.583
Rb 0.000 2.427 1.742
Rb -4.182 9.671 1.742
Rb 2.102 1.213 4.607
Rb 2.278 5.941 1.583
Rb 0.000 9.886 1.583
Rb 6.284 0.997 4.766
Rb 4.006 4.943 4.766
Rb 4.182 9.671 1.742
Rb 10.466 1.213 4.607
Rb 6.284 8.457 4.607
Rb 8.562 4.943 4.766
Sn 0.000 7.256 4.763
Sn 6.284 3.628 1.585
Sb 0.000 4.508 4.784
Sb -2.380 8.630 4.784
Sb 3.904 2.254 1.564
Sb 2.380 8.630 4.784
Sb 8.664 2.254 1.564
Sb 6.284 6.376 1.564
O 0.000 0.000 3.174
```


No. 7
Rb5TiSb7O22 | PBE | relaxed

extended XYZ file:
```
70
Lattice="5.223 -5.225 0.000 5.223 5.225 0.000 -3.189 0.000 20.634" Properties=species:S:1:pos:R:3 pbc="T T T"
Rb 3.628 4.571 10.317
Rb 1.046 1.968 12.324
Rb 1.497 1.176 16.009
Rb 2.641 -1.968 2.007
Rb 3.092 -1.176 5.692
Rb 5.760 1.174 4.664
Rb 6.201 1.971 8.335
Rb 4.165 -1.174 14.981
Rb 4.606 -1.971 18.653
Rb 5.223 -4.571 0.000
Ti 2.309 3.216 6.712
Ti 0.714 -3.216 17.029
Sb -0.414 0.485 6.566
Sb -2.009 -0.485 16.883
Sb 3.998 1.960 1.346
Sb 2.306 0.612 9.059
Sb 5.001 3.161 14.025
Sb 3.285 1.967 19.284
Sb 0.711 -0.612 19.376
Sb 4.949 0.590 11.582
Sb 2.404 -1.960 11.663
Sb 6.544 -0.590 1.265
Sb 4.880 -1.967 8.967
Sb 7.668 0.490 14.092
Sb 6.596 -3.161 3.708
Sb 9.263 -0.490 3.775
O 1.903 4.264 15.404
O 0.991 1.763 5.612
O 3.476 4.472 7.328
O 1.097 2.072 9.628
O 3.784 4.477 13.241
O 5.355 4.260 5.235
O 4.768 3.260 2.693
O -0.641 0.210 18.111
O 2.474 3.266 17.952
O 2.914 1.167 2.968
O 0.954 -0.210 7.794
O 3.015 1.764 7.544
O 5.227 2.775 0.006
O 3.145 0.566 0.187
O -0.604 -1.763 15.930
O 1.551 -0.566 10.505
O 3.635 1.437 10.331
O 1.897 0.754 18.602
O 4.103 1.686 13.158
O 1.319 -1.167 13.286
O -0.498 -2.072 19.945
O 5.368 0.760 2.061
O 3.491 -0.754 8.285
O 6.123 2.110 11.102
O 4.419 1.298 17.734
O 1.420 -1.764 17.861
O 3.773 -0.760 12.379
O 5.230 -1.437 0.013
O 4.129 0.561 20.464
O 6.253 1.783 15.047
O 5.697 -1.686 2.841
O 5.724 -0.561 10.147
O 3.632 -2.775 10.323
O 7.891 0.201 2.541
O 3.173 -3.260 13.010
O 6.014 -1.298 7.417
O 6.297 -0.201 12.858
O 4.069 -3.266 7.635
O 3.498 -4.264 5.086
O 1.882 -4.472 17.645
O 7.717 -2.110 0.785
O 5.379 -4.477 2.924
O 7.848 -1.783 4.729
O 3.760 -4.260 15.552
```


No. 8
Rb3Se2O8 | PBE | relaxed

Summary:
* polymorph energy (0 for the lowest one): 0.000 eV/atom

extended XYZ file:
```
26
Lattice="7.980 -3.096 0.000 7.980 3.096 0.000 -2.281 0.000 10.364" Properties=species:S:1:pos:R:3 pbc="T T T"
Rb 4.096 1.707 3.610
Rb 6.269 1.564 7.773
Rb 10.723 1.707 1.573
Rb 2.955 -1.707 8.792
Rb 7.410 -1.564 2.591
Rb 9.582 -1.707 6.755
Se 6.069 1.322 0.376
Se 8.750 1.322 4.806
Se 4.929 -1.322 5.558
Se 7.609 -1.322 9.988
O 0.015 0.325 9.236
O 3.499 1.395 9.104
O 1.155 -0.325 4.054
O 7.755 1.141 0.625
O 7.064 1.141 4.557
O 5.282 0.040 1.087
O 4.141 -0.040 6.269
O 9.039 1.395 6.443
O 4.639 -1.395 3.921
O 9.537 0.040 4.095
O 8.396 -0.040 9.277
O 6.614 -1.141 5.807
O 5.924 -1.141 9.740
O 12.523 0.325 6.310
O 10.180 -1.395 1.261
O 13.664 -0.325 1.128
```


No. 9
RbSeO4 | PBE | relaxed

extended XYZ file:
```
18
Lattice="4.443 0.000 0.000 0.021 7.776 0.000 2.167 3.867 9.932" Properties=species:S:1:pos:R:3 pbc="T T T"
Rb 0.000 0.000 0.000
Rb 1.465 3.884 3.397
Rb 4.013 7.180 6.634
Se 2.048 7.785 3.385
Se 4.038 3.288 6.662
Se 3.880 3.896 0.017
O 0.778 8.790 2.823
O 2.111 6.747 8.746
O 1.539 6.785 4.603
O 0.710 4.904 0.570
O 2.795 10.045 7.234
O 2.602 6.954 2.070
O 3.245 8.824 4.046
O 3.573 4.213 5.372
O 4.522 4.214 7.942
O 4.851 8.797 9.279
O 3.330 3.084 1.349
O 5.298 10.010 6.101
```


No. 10
Rb2SeO4 | PBE | relaxed

extended XYZ file:
```
28
Lattice="8.157 0.000 0.000 0.000 6.322 0.000 0.000 0.000 11.056" Properties=species:S:1:pos:R:3 pbc="T T T"
Rb 0.006 1.581 2.261
Rb 1.407 4.742 4.629
Rb 2.671 1.581 10.157
Rb 4.073 4.742 7.789
Rb 4.084 1.581 3.267
Rb 5.486 4.742 0.899
Rb 6.750 1.581 6.427
Rb 8.152 4.742 8.795
Se 1.835 4.742 0.914
Se 2.244 1.581 6.443
Se 5.913 4.742 4.614
Se 6.323 1.581 10.142
O 0.167 4.742 0.817
O 1.558 1.581 4.902
O 1.720 0.207 7.258
O 1.720 2.954 7.258
O 2.359 3.369 1.730
O 2.359 6.115 1.730
O 2.520 4.742 10.430
O 3.911 1.581 6.345
O 4.246 4.742 4.711
O 5.637 1.581 0.626
O 5.799 0.207 9.326
O 5.799 2.954 9.326
O 6.437 3.369 3.798
O 6.437 6.115 3.798
O 6.599 4.742 6.154
O 7.990 1.581 10.239
```


E_tot (eV per atom)
-5.742 -4.872 -5.378 -4.728 -5.826 -2.828 -5.987 -4.982 -4.879 -5.017